A plane-wave DFT calculation with PBE was carried out for Ba17Y16Zn8Pt4O57 after structural relaxation.

Cell and atoms, written as POSCAR:
```
Ba17Y16Zn8Pt4O57
1.0
-11.584 11.584 2.890
11.584 -11.584 2.890
11.584 11.584 -2.890
Y O Zn Pt Ba
16 57 8 4 17
direct
0.172 0.948 0.120
0.951 0.674 0.624
0.400 0.488 0.888
0.512 0.400 0.912
0.049 0.326 0.376
0.488 0.600 0.088
0.674 0.049 0.723
0.326 0.951 0.277
0.493 0.750 0.243
0.750 0.507 0.256
0.507 0.250 0.757
0.052 0.172 0.224
0.600 0.512 0.112
0.250 0.493 0.744
0.828 0.052 0.880
0.948 0.828 0.776
0.998 0.679 0.176
0.928 0.780 0.204
0.823 0.998 0.319
0.436 0.945 0.381
0.111 0.632 0.233
0.945 0.564 0.509
0.281 0.925 0.690
0.660 0.815 0.976
0.503 0.823 0.824
0.075 0.765 0.356
0.840 0.684 0.024
0.765 0.409 0.690
0.160 0.158 0.318
0.925 0.235 0.644
0.497 0.177 0.176
0.409 0.719 0.644
0.177 0.002 0.681
0.591 0.281 0.356
0.684 0.660 0.845
0.391 0.769 0.161
0.055 0.436 0.491
0.840 0.842 0.682
0.072 0.220 0.796
0.701 0.760 0.461
0.158 0.840 0.998
0.889 0.368 0.767
0.719 0.075 0.310
0.002 0.321 0.824
0.235 0.591 0.310
0.878 0.111 0.479
0.231 0.391 0.622
0.316 0.340 0.155
0.220 0.424 0.148
0.769 0.609 0.378
0.723 0.928 0.148
0.842 0.160 0.002
0.500 0.500 0.000
0.780 0.576 0.852
0.679 0.503 0.681
0.368 0.601 0.479
0.609 0.231 0.839
0.340 0.185 0.024
0.760 0.299 0.059
0.160 0.316 0.976
0.240 0.701 0.941
0.277 0.072 0.852
0.321 0.497 0.319
0.122 0.889 0.521
0.399 0.878 0.767
0.815 0.840 0.155
0.185 0.160 0.845
0.576 0.723 0.796
0.564 0.055 0.619
0.632 0.399 0.521
0.601 0.122 0.233
0.299 0.240 0.539
0.424 0.277 0.204
0.866 0.924 0.790
0.076 0.866 0.942
0.212 0.621 0.833
0.379 0.212 0.591
0.924 0.134 0.058
0.134 0.076 0.210
0.621 0.788 0.409
0.788 0.379 0.167
0.856 0.583 0.439
0.144 0.417 0.561
0.583 0.144 0.727
0.417 0.856 0.273
0.000 0.000 0.000
0.811 0.732 0.543
0.268 0.811 0.079
0.932 0.442 0.374
0.723 0.888 0.611
0.732 0.189 0.921
0.658 0.650 0.308
0.068 0.558 0.626
0.888 0.277 0.164
0.342 0.350 0.692
0.558 0.932 0.491
0.350 0.658 0.008
0.112 0.723 0.836
0.277 0.112 0.389
0.442 0.068 0.509
0.650 0.342 0.992
0.189 0.268 0.457
```

Values from the calculation:
* SG: I4/m, No. 87
* volume: 1551.2 Å³/cell
* formation energy: -2.969 eV per atom
* magnetic moment: 0.0 μB/cell

=====

A plane-wave DFT calculation with PBE was carried out for Nd4NiS7 after structural relaxation.

Cell and atoms, written as POSCAR:
```
Nd4NiS7
1.0
4.904 -8.494 0.000
4.904 8.494 0.000
0.000 0.000 6.862
Nd S Ni
8 14 2
direct
0.373 0.158 0.291
0.215 0.373 0.791
0.785 0.627 0.291
0.627 0.842 0.791
0.158 0.785 0.791
0.842 0.215 0.291
0.667 0.333 0.836
0.333 0.667 0.336
0.333 0.667 0.949
0.667 0.333 0.449
0.875 0.778 0.679
0.930 0.487 0.048
0.778 0.903 0.179
0.557 0.070 0.048
0.903 0.125 0.679
0.097 0.875 0.179
0.443 0.930 0.548
0.125 0.222 0.179
0.487 0.557 0.548
0.070 0.513 0.548
0.513 0.443 0.048
0.222 0.097 0.679
0.000 0.000 0.964
0.000 0.000 0.464
```

Values from the calculation:
* SG: P6_3, No. 173
* volume: 571.6 Å³/cell
* formation energy: -1.919 eV per atom
* magnetic moment: 4.0 μB/cell

=====

A plane-wave DFT calculation with PBE was carried out for LiCdHg2 after structural relaxation.

Cell and atoms, written as POSCAR:
```
LiCdHg2
1.0
0.000 3.502 3.502
3.502 0.000 3.502
3.502 3.502 0.000
Cd Hg Li
1 2 1
direct
0.500 0.500 0.500
0.750 0.750 0.750
0.250 0.250 0.250
0.000 0.000 0.000
```

Values from the calculation:
* SG: Fm-3m, No. 225
* volume: 85.9 Å³/cell
* formation energy: -0.205 eV per atom

=====

A plane-wave DFT calculation with PBE was carried out for Co7GeN6 after structural relaxation.

Cell and atoms, written as POSCAR:
```
Co7GeN6
1.0
10.014 0.000 0.000
0.000 5.585 0.000
0.000 0.000 11.018
N Co Ge
24 28 4
direct
0.085 0.180 0.662
0.915 0.820 0.338
0.190 0.283 0.955
0.690 0.217 0.045
0.810 0.283 0.545
0.585 0.680 0.838
0.363 0.167 0.749
0.637 0.833 0.251
0.915 0.180 0.838
0.810 0.717 0.045
0.415 0.680 0.662
0.137 0.333 0.249
0.690 0.783 0.545
0.637 0.167 0.751
0.190 0.717 0.455
0.863 0.333 0.251
0.085 0.820 0.162
0.310 0.783 0.955
0.863 0.667 0.751
0.310 0.217 0.455
0.363 0.833 0.249
0.415 0.320 0.162
0.585 0.320 0.338
0.137 0.667 0.749
0.676 0.906 0.093
0.988 0.730 0.032
0.500 0.072 0.250
0.500 0.928 0.750
0.000 0.572 0.250
0.757 0.317 0.388
0.324 0.094 0.907
0.257 0.183 0.612
0.488 0.770 0.968
0.824 0.406 0.093
0.012 0.270 0.968
0.176 0.406 0.407
0.176 0.594 0.907
0.243 0.683 0.612
0.512 0.770 0.532
0.743 0.817 0.388
0.257 0.817 0.112
0.824 0.594 0.593
0.743 0.183 0.888
0.757 0.683 0.888
0.000 0.428 0.750
0.324 0.906 0.407
0.988 0.270 0.532
0.012 0.730 0.468
0.488 0.230 0.468
0.243 0.317 0.112
0.676 0.094 0.593
0.512 0.230 0.032
0.500 0.416 0.750
0.000 0.084 0.250
0.000 0.916 0.750
0.500 0.584 0.250
```

Values from the calculation:
* SG: Pbcn, No. 60
* volume: 616.2 Å³/cell
* formation energy: 0.154 eV per atom
* magnetic moment: 4.1 μB/cell

=====

A plane-wave DFT calculation with PBE was carried out for Tm4CdNi after structural relaxation.

Cell and atoms, written as POSCAR:
```
Tm4CdNi
1.0
-0.095 -7.982 -4.986
-6.646 -6.470 1.601
-6.759 -1.483 -6.380
Tm Ni Cd
16 4 4
direct
0.187 0.187 0.813
0.813 0.813 0.187
0.935 0.565 0.565
0.935 0.565 0.935
0.348 0.348 0.955
0.565 0.935 0.935
0.813 0.187 0.813
0.565 0.565 0.935
0.187 0.813 0.187
0.348 0.348 0.348
0.813 0.187 0.187
0.187 0.813 0.813
0.565 0.935 0.565
0.955 0.348 0.348
0.348 0.955 0.348
0.935 0.935 0.565
0.142 0.142 0.573
0.142 0.573 0.142
0.142 0.142 0.142
0.573 0.142 0.142
0.581 0.256 0.581
0.581 0.581 0.581
0.256 0.581 0.581
0.581 0.581 0.256
```

Values from the calculation:
* SG: F-43m, No. 216
* volume: 589.6 Å³/cell
* formation energy: -0.313 eV per atom

=====

A plane-wave DFT calculation with PBE was carried out for Pu3In after structural relaxation.

Cell and atoms, written as POSCAR:
```
Pu3In
1.0
-4.322 0.249 -0.388
-0.101 -4.083 -1.488
-0.450 -1.470 4.065
Pu In
3 1
direct
0.500 0.500 0.000
0.000 0.500 0.500
0.500 0.000 0.500
0.000 0.000 0.000
```

Values from the calculation:
* SG: Pm-3m, No. 221
* volume: 82.1 Å³/cell
* formation energy: 0.284 eV per atom
* magnetic moment: 15.8 μB/cell

=====

A plane-wave DFT calculation with PBE was carried out for DyMg2Sc after structural relaxation.

Cell and atoms, written as POSCAR:
```
DyMg2Sc
1.0
0.000 3.696 3.696
3.696 0.000 3.696
3.696 3.696 0.000
Mg Sc Dy
2 1 1
direct
0.750 0.750 0.750
0.250 0.250 0.250
0.000 0.000 0.000
0.500 0.500 0.500
```

Values from the calculation:
* SG: Fm-3m, No. 225
* volume: 101.0 Å³/cell
* formation energy: -0.054 eV per atom

=====

A plane-wave DFT calculation with PBE was carried out for P4SO7 after structural relaxation.

Cell and atoms, written as POSCAR:
```
P4SO7
1.0
7.184 0.000 0.000
-0.694 7.387 0.000
-2.048 -0.707 8.195
P O S
8 14 2
direct
0.260 0.245 0.900
0.292 0.982 0.650
0.608 0.268 0.776
0.740 0.755 0.100
0.233 0.351 0.568
0.392 0.732 0.224
0.708 0.018 0.350
0.767 0.649 0.432
0.509 0.713 0.075
0.172 0.359 0.748
0.221 0.036 0.812
0.518 0.051 0.702
0.491 0.287 0.925
0.828 0.641 0.252
0.471 0.378 0.637
0.799 0.878 0.475
0.243 0.790 0.589
0.757 0.210 0.411
0.779 0.964 0.188
0.529 0.622 0.363
0.201 0.122 0.525
0.482 0.949 0.298
0.163 0.278 0.086
0.837 0.722 0.914
```

Values from the calculation:
* SG: P-1, No. 2
* volume: 434.9 Å³/cell
* formation energy: -2.040 eV per atom
* magnetic moment: 0.0 μB/cell

=====

A plane-wave DFT calculation with PBE was carried out for Mo3Ru2 after structural relaxation.

Cell and atoms, written as POSCAR:
```
Mo3Ru2
1.0
3.040 1.749 3.518
-7.582 1.998 5.558
0.587 -8.782 3.861
Mo Ru
18 12
direct
0.750 0.321 0.679
0.498 0.105 0.895
0.001 0.465 0.132
0.249 0.818 0.818
0.997 0.396 0.396
0.997 0.604 0.604
0.750 0.679 0.321
0.749 0.822 0.822
0.499 0.371 0.959
0.249 0.182 0.182
0.001 0.535 0.868
0.499 0.041 0.629
0.001 0.868 0.535
0.499 0.959 0.371
0.499 0.629 0.041
0.749 0.178 0.178
0.001 0.132 0.465
0.498 0.895 0.105
0.002 0.735 0.069
0.002 0.069 0.735
0.497 0.766 0.568
0.252 0.681 0.319
0.497 0.234 0.432
0.002 0.265 0.931
0.497 0.432 0.234
0.497 0.568 0.766
0.252 0.319 0.681
0.508 0.500 0.500
0.004 0.000 0.000
0.002 0.931 0.265
```

Values from the calculation:
* SG: Cmm2, No. 35
* volume: 458.9 Å³/cell
* formation energy: 0.035 eV per atom
* magnetic moment: 0.2 μB/cell

=====

A plane-wave DFT calculation with PBE was carried out for TaC after structural relaxation.

Cell and atoms, written as POSCAR:
```
TaC
1.0
1.529 -2.648 0.000
1.529 2.648 0.000
0.000 0.000 2.881
C Ta
1 1
direct
0.000 0.000 0.500
0.667 0.333 0.000
```

Values from the calculation:
* SG: P-6m2, No. 187
* energy above the most stable polymorph in this dataset: 412 meV/atom
* volume: 23.3 Å³/cell
* formation energy: -0.163 eV per atom
* magnetic moment: 0.0 μB/cell

=====

A plane-wave DFT calculation with PBE was carried out for La5Si3 after structural relaxation.

Cell and atoms, written as POSCAR:
```
La5Si3
1.0
-4.004 4.004 6.949
4.004 -4.004 6.949
4.004 4.004 -6.949
La Si
10 6
direct
0.500 0.500 0.000
0.468 0.968 0.141
0.968 0.826 0.500
0.826 0.326 0.859
0.174 0.674 0.141
0.000 0.000 0.000
0.674 0.532 0.500
0.032 0.174 0.500
0.326 0.468 0.500
0.532 0.032 0.859
0.250 0.250 0.000
0.387 0.113 0.500
0.613 0.887 0.500
0.887 0.387 0.274
0.113 0.613 0.726
0.750 0.750 0.000
```

Values from the calculation:
* SG: I4/mcm, No. 140
* energy above the most stable polymorph in this dataset: 0 meV/atom
* volume: 445.6 Å³/cell
* formation energy: -0.579 eV per atom

=====

A plane-wave DFT calculation with PBE was carried out for TiSb after structural relaxation.

Cell and atoms, written as POSCAR:
```
TiSb
1.0
1.911 -3.310 0.000
1.911 3.310 0.000
0.000 0.000 7.069
Sb Ti
2 2
direct
0.000 0.000 0.000
0.000 0.000 0.500
0.333 0.667 0.250
0.667 0.333 0.750
```

Values from the calculation:
* SG: P6_3/mmc, No. 194
* volume: 89.4 Å³/cell
* formation energy: -0.266 eV per atom
* magnetic moment: 0.9 μB/cell

=====

A plane-wave DFT calculation with PBE was carried out for SiO2 after structural relaxation.

Cell and atoms, written as POSCAR:
```
SiO2
1.0
-3.886 2.188 0.506
-1.817 -3.657 1.863
1.321 1.408 4.051
Si O
4 8
direct
0.500 0.500 0.000
0.000 0.000 0.000
0.000 0.500 0.500
0.500 0.000 0.500
0.656 0.656 0.656
0.844 0.344 0.156
0.344 0.156 0.844
0.344 0.344 0.344
0.844 0.156 0.656
0.156 0.656 0.844
0.156 0.844 0.344
0.656 0.844 0.156
```

Values from the calculation:
* SG: Pa-3, No. 205
* volume: 90.4 Å³/cell
* formation energy: -2.696 eV per atom
* magnetic moment: 0.0 μB/cell

=====

A plane-wave DFT calculation with PBE was carried out for Nd3Bi4Au3 after structural relaxation.

Cell and atoms, written as POSCAR:
```
Nd3Bi4Au3
1.0
-5.172 5.172 5.172
5.172 -5.172 5.172
5.172 5.172 -5.172
Bi Au Nd
8 6 6
direct
0.324 0.324 0.324
0.676 0.500 0.000
0.176 0.500 0.000
0.824 0.824 0.824
0.500 0.000 0.676
0.000 0.176 0.500
0.000 0.676 0.500
0.500 0.000 0.176
0.875 0.125 0.750
0.125 0.750 0.875
0.375 0.250 0.625
0.750 0.875 0.125
0.625 0.375 0.250
0.250 0.625 0.375
0.625 0.750 0.375
0.375 0.625 0.750
0.750 0.375 0.625
0.250 0.125 0.875
0.875 0.250 0.125
0.125 0.875 0.250
```

Values from the calculation:
* SG: I-43d, No. 220
* volume: 553.5 Å³/cell
* formation energy: -0.729 eV per atom